Entry from the Materials Project database: an optimized crystal structure of KAuO3 (GGA-PBE).

Cell: 4.158 4.158 4.158 Å, 90.00 90.00 90.00°
Space group Pm-3m (No. 221)
Symmetry-distinct sites (fractional):
K 0.000 0.000 0.000 [1 per cell]
Au 0.500 0.500 0.500 [1 per cell]
O 0.000 0.500 0.500 [3 per cell]

## Properties
The value obtained for the magnetization is 1.4 μB/cell. The formation energy is -0.56 eV per atom.